No. 1
Density functional theory data (r2SCAN) for an optimized crystal structure of GdPt2.

Unit cell a=5.4315 b=5.4315 c=5.4315 alpha=60.00 beta=60.00 gamma=60.00
Sites, in units of the cell vectors:
Gd: 0.1250 0.1250 0.1250
Gd: 0.8750 0.8750 0.8750
Pt: 0.5000 0.5000 0.5000
Pt: 0.5000 0.5000 0.0000
Pt: 0.0000 0.5000 0.5000
Pt: 0.5000 0.0000 0.5000

## Properties
formation energy from the elements: -1.160 eV/atom



No. 2
Density functional theory data (r2SCAN) for an optimized crystal structure of GdSiPt2.

Unit cell a=5.5724 b=6.9122 c=7.3774 alpha=90.00 beta=90.00 gamma=90.00
Sites, in units of the cell vectors:
Gd: 0.3616 0.7500 0.0269
Gd: 0.1384 0.7500 0.5269
Gd: 0.6384 0.2500 0.9731
Gd: 0.8616 0.2500 0.4731
Si: 0.6384 0.7500 0.3770
Si: 0.8616 0.7500 0.8770
Si: 0.3616 0.2500 0.6230
Si: 0.1384 0.2500 0.1230
Pt: 0.9088 0.5514 0.1790
Pt: 0.5912 0.9486 0.6790
Pt: 0.0912 0.0514 0.8210
Pt: 0.4088 0.4486 0.3210
Pt: 0.0912 0.4486 0.8210
Pt: 0.4088 0.0514 0.3210
Pt: 0.9088 0.9486 0.1790
Pt: 0.5912 0.5514 0.6790

## Properties
formation energy from the elements: -1.203 eV/atom



No. 3
Density functional theory data (r2SCAN) for an optimized crystal structure of GdSiPt.

Unit cell a=7.7497 b=7.7497 c=7.7497 alpha=149.09 beta=149.09 gamma=44.27
Sites, in units of the cell vectors:
Gd: 0.7496 0.2496 0.5000
Gd: 0.9996 0.9996 0.0000
Si: 0.1688 0.6688 0.5000
Si: 0.4188 0.4188 0.0000
Pt: 0.3356 0.8356 0.5000
Pt: 0.5856 0.5856 0.0000

## Properties
formation energy from the elements: -1.237 eV/atom



No. 4
Density functional theory data (r2SCAN) for an optimized crystal structure of RbGdSe2.

Unit cell a=8.3162 b=8.3162 c=8.3162 alpha=29.77 beta=29.77 gamma=29.77
Sites, in units of the cell vectors:
Rb: 0.0000 0.0000 0.0000
Gd: 0.5000 0.5000 0.5000
Se: 0.2325 0.2325 0.2325
Se: 0.7675 0.7675 0.7675

## Properties
formation energy from the elements: -1.998 eV/atom



No. 5
Density functional theory data (r2SCAN) for an optimized crystal structure of GdRe4Si2.

Unit cell a=7.3836 b=7.3836 c=4.1375 alpha=90.00 beta=90.00 gamma=90.00
Sites, in units of the cell vectors:
Gd: 0.5000 0.5000 0.0000
Gd: 0.0000 0.0000 0.5000
Re: 0.5934 0.1574 0.5000
Re: 0.4066 0.8426 0.5000
Re: 0.0933 0.3428 0.0000
Re: 0.9067 0.6572 0.0000
Re: 0.1572 0.5933 0.5000
Re: 0.8428 0.4067 0.5000
Re: 0.3426 0.0934 0.0000
Re: 0.6574 0.9066 0.0000
Si: 0.7097 0.7097 0.5000
Si: 0.2903 0.2903 0.5000
Si: 0.2097 0.7903 0.0000
Si: 0.7903 0.2097 0.0000

## Properties
formation energy from the elements: -0.500 eV/atom



No. 6
Density functional theory data (r2SCAN) for an optimized crystal structure of GdRh.

Unit cell a=3.4480 b=3.4480 c=3.4480 alpha=90.00 beta=90.00 gamma=90.00
Sites, in units of the cell vectors:
Gd: 0.0000 0.0000 0.0000
Rh: 0.5000 0.5000 0.5000

## Properties
formation energy from the elements: -0.792 eV/atom



Number 1: E_tot -299.70 eV for the cell shown. Number 2: E_tot -639.83 eV for the cell shown. Number 3: E_tot -214.74 eV for the cell shown. Number 4: E_tot -93.94 eV for the cell shown. Number 5: E_tot -548.17 eV for the cell shown. Number 6: E_tot -69.12 eV for the cell shown.